A plane-wave DFT calculation with PBE was carried out for crystalline Li2H32PtC12O2 at its relaxed geometry.

- Energy relative to the elements: -254 meV per atom
- Calculated density: 1383 kg/m3
- Final energy: -250.186 eV per formula unit

Cell lengths 15.0652, 15.6561, 17.0017 Å; angles 90.00, 90.00, 90.00 degrees
Fractional coordinates of all 392 atoms:
Li1 0.9958 0.3728 0.0144
Li2 0.5042 0.8728 0.9856
Li3 0.4958 0.6272 0.4856
Li4 0.0042 0.1272 0.5144
Li5 0.0042 0.6272 0.9856
Li6 0.4958 0.1272 0.0144
Li7 0.5042 0.3728 0.5144
Li8 0.9958 0.8728 0.4856
Li9 0.1016 0.5057 0.0732
Li10 0.3984 0.0057 0.9268
Li11 0.6016 0.4943 0.4268
Li12 0.8984 0.9943 0.5732
Li13 0.8984 0.4943 0.9268
Li14 0.6016 0.9943 0.0732
Li15 0.3984 0.5057 0.5732
Li16 0.1016 0.0057 0.4268
H1 0.9255 0.3987 0.8479
H2 0.5745 0.8987 0.1521
H3 0.4255 0.6013 0.6521
H4 0.0745 0.1013 0.3479
H5 0.0745 0.6013 0.1521
H6 0.4255 0.1013 0.8479
H7 0.5745 0.3987 0.3479
H8 0.9255 0.8987 0.6521
H9 0.0328 0.3726 0.8178
H10 0.4672 0.8726 0.1822
H11 0.5328 0.6274 0.6822
H12 0.9672 0.1274 0.3178
H13 0.9672 0.6274 0.1822
H14 0.5328 0.1274 0.8178
H15 0.4672 0.3726 0.3178
H16 0.0328 0.8726 0.6822
H17 0.9897 0.3245 0.9019
H18 0.5103 0.8245 0.0981
H19 0.4897 0.6755 0.5981
H20 0.0103 0.1755 0.4019
H21 0.0103 0.6755 0.0981
H22 0.4897 0.1755 0.9019
H23 0.5103 0.3245 0.4019
H24 0.9897 0.8245 0.5981
H25 0.0511 0.6264 0.8281
H26 0.4489 0.1264 0.1719
H27 0.5511 0.3736 0.6719
H28 0.9489 0.8736 0.3281
H29 0.9489 0.3736 0.1719
H30 0.5511 0.8736 0.8281
H31 0.4489 0.6264 0.3281
H32 0.0511 0.1264 0.6719
H33 0.9847 0.5422 0.7915
H34 0.5153 0.0422 0.2085
H35 0.4847 0.4578 0.7085
H36 0.0153 0.9578 0.2915
H37 0.0153 0.4578 0.2085
H38 0.4847 0.9578 0.7915
H39 0.5153 0.5422 0.2915
H40 0.9847 0.0422 0.7085
H41 0.9431 0.6116 0.8638
H42 0.5569 0.1116 0.1362
H43 0.4431 0.3884 0.6362
H44 0.0569 0.8884 0.3638
H45 0.0569 0.3884 0.1362
H46 0.4431 0.8884 0.8638
H47 0.5569 0.6116 0.3638
H48 0.9431 0.1116 0.6362
H49 0.1639 0.6098 0.0188
H50 0.3361 0.1098 0.9812
H51 0.6639 0.3902 0.4812
H52 0.8361 0.8902 0.5188
H53 0.8361 0.3902 0.9812
H54 0.6639 0.8902 0.0188
H55 0.3361 0.6098 0.5188
H56 0.1639 0.1098 0.4812
H57 0.2263 0.5622 0.9436
H58 0.2737 0.0622 0.0564
H59 0.7263 0.4378 0.5564
H60 0.7737 0.9378 0.4436
H61 0.7737 0.4378 0.0564
H62 0.7263 0.9378 0.9436
H63 0.2737 0.5622 0.4436
H64 0.2263 0.0622 0.5564
H65 0.1509 0.6449 0.9214
H66 0.3491 0.1449 0.0786
H67 0.6509 0.3551 0.5786
H68 0.8491 0.8551 0.4214
H69 0.8491 0.3551 0.0786
H70 0.6509 0.8551 0.9214
H71 0.3491 0.6449 0.4214
H72 0.1509 0.1449 0.5786
H73 0.1627 0.3943 0.0451
H74 0.3373 0.8943 0.9549
H75 0.6627 0.6057 0.4549
H76 0.8373 0.1057 0.5451
H77 0.8373 0.6057 0.9549
H78 0.6627 0.1057 0.0451
H79 0.3373 0.3943 0.5451
H80 0.1627 0.8943 0.4549
H81 0.1304 0.3293 0.9655
H82 0.3696 0.8293 0.0345
H83 0.6304 0.6707 0.5345
H84 0.8696 0.1707 0.4655
H85 0.8696 0.6707 0.0345
H86 0.6304 0.1707 0.9655
H87 0.3696 0.3293 0.4655
H88 0.1304 0.8293 0.5345
H89 0.2163 0.4043 0.9548
H90 0.2837 0.9043 0.0452
H91 0.7163 0.5957 0.5452
H92 0.7837 0.0957 0.4548
H93 0.7837 0.5957 0.0452
H94 0.7163 0.0957 0.9548
H95 0.2837 0.4043 0.4548
H96 0.2163 0.9043 0.5452
H97 0.1276 0.2190 0.0408
H98 0.3724 0.7190 0.9592
H99 0.6276 0.7810 0.4592
H100 0.8724 0.2810 0.5408
H101 0.8724 0.7810 0.9592
H102 0.6276 0.2810 0.0408
H103 0.3724 0.2190 0.5408
H104 0.1276 0.7190 0.4592
H105 0.0747 0.1214 0.0182
H106 0.4253 0.6214 0.9818
H107 0.5747 0.8786 0.4818
H108 0.9253 0.3786 0.5182
H109 0.9253 0.8786 0.9818
H110 0.5747 0.3786 0.0182
H111 0.4253 0.1214 0.5182
H112 0.0747 0.6214 0.4818
H113 0.1239 0.1250 0.1575
H114 0.3761 0.6250 0.8425
H115 0.6239 0.8750 0.3425
H116 0.8761 0.3750 0.6575
H117 0.8761 0.8750 0.8425
H118 0.6239 0.3750 0.1575
H119 0.3761 0.1250 0.6575
H120 0.1239 0.6250 0.3425
H121 0.0583 0.2178 0.1757
H122 0.4417 0.7178 0.8243
H123 0.5583 0.7822 0.3243
H124 0.9417 0.2822 0.6757
H125 0.9417 0.7822 0.8243
H126 0.5583 0.2822 0.1757
H127 0.4417 0.2178 0.6757
H128 0.0583 0.7178 0.3243
H129 0.0065 0.1181 0.1553
H130 0.4935 0.6181 0.8447
H131 0.5065 0.8819 0.3447
H132 0.9935 0.3819 0.6553
H133 0.9935 0.8819 0.8447
H134 0.5065 0.3819 0.1553
H135 0.4935 0.1181 0.6553
H136 0.0065 0.6181 0.3447
H137 0.8661 0.2248 0.9874
H138 0.6339 0.7248 0.0126
H139 0.3661 0.7752 0.5126
H140 0.1339 0.2752 0.4874
H141 0.1339 0.7752 0.0126
H142 0.3661 0.2752 0.9874
H143 0.6339 0.2248 0.4874
H144 0.8661 0.7248 0.5126
H145 0.8944 0.1419 0.0537
H146 0.6056 0.6419 0.9463
H147 0.3944 0.8581 0.4463
H148 0.1056 0.3581 0.5537
H149 0.1056 0.8581 0.9463
H150 0.3944 0.3581 0.0537
H151 0.6056 0.1419 0.5537
H152 0.8944 0.6419 0.4463
H153 0.8720 0.0871 0.9173
H154 0.6280 0.5871 0.0827
H155 0.3720 0.9129 0.5827
H156 0.1280 0.4129 0.4173
H157 0.1280 0.9129 0.0827
H158 0.3720 0.4129 0.9173
H159 0.6280 0.0871 0.4173
H160 0.8720 0.5871 0.5827
H161 0.9578 0.1551 0.8810
H162 0.5422 0.6551 0.1190
H163 0.4578 0.8449 0.6190
H164 0.0422 0.3449 0.3810
H165 0.0422 0.8449 0.1190
H166 0.4578 0.3449 0.8810
H167 0.5422 0.1551 0.3810
H168 0.9578 0.6551 0.6190
H169 0.9832 0.0686 0.9451
H170 0.5168 0.5686 0.0549
H171 0.4832 0.9314 0.5549
H172 0.0168 0.4314 0.4451
H173 0.0168 0.9314 0.0549
H174 0.4832 0.4314 0.9451
H175 0.5168 0.0686 0.4451
H176 0.9832 0.5686 0.5549
H177 0.3621 0.5178 0.1698
H178 0.1379 0.0178 0.8302
H179 0.8621 0.4822 0.3302
H180 0.6379 0.9822 0.6698
H181 0.6379 0.4822 0.8302
H182 0.8621 0.9822 0.1698
H183 0.1379 0.5178 0.6698
H184 0.3621 0.0178 0.3302
H185 0.3142 0.5500 0.0789
H186 0.1858 0.0500 0.9211
H187 0.8142 0.4500 0.4211
H188 0.6858 0.9500 0.5789
H189 0.6858 0.4500 0.9211
H190 0.8142 0.9500 0.0789
H191 0.1858 0.5500 0.5789
H192 0.3142 0.0500 0.4211
H193 0.3670 0.6764 0.1569
H194 0.1330 0.1764 0.8431
H195 0.8670 0.3236 0.3431
H196 0.6330 0.8236 0.6569
H197 0.6330 0.3236 0.8431
H198 0.8670 0.8236 0.1569
H199 0.1330 0.6764 0.6569
H200 0.3670 0.1764 0.3431
H201 0.2496 0.6799 0.1435
H202 0.2504 0.1799 0.8565
H203 0.7496 0.3201 0.3565
H204 0.7504 0.8201 0.6435
H205 0.7504 0.3201 0.8565
H206 0.7496 0.8201 0.1435
H207 0.2504 0.6799 0.6435
H208 0.2496 0.1799 0.3565
H209 0.2954 0.6487 0.2357
H210 0.2046 0.1487 0.7643
H211 0.7954 0.3513 0.2643
H212 0.7046 0.8513 0.7357
H213 0.7046 0.3513 0.7643
H214 0.7954 0.8513 0.2357
H215 0.2046 0.6487 0.7357
H216 0.2954 0.1487 0.2643
H217 0.2693 0.5050 0.2767
H218 0.2307 0.0050 0.7233
H219 0.7693 0.4950 0.2233
H220 0.7307 0.9950 0.7767
H221 0.7307 0.4950 0.7233
H222 0.7693 0.9950 0.2767
H223 0.2307 0.5050 0.7767
H224 0.2693 0.0050 0.2233
H225 0.1586 0.4696 0.2599
H226 0.3414 0.9696 0.7401
H227 0.6586 0.5304 0.2401
H228 0.8414 0.0304 0.7599
H229 0.8414 0.5304 0.7401
H230 0.6586 0.0304 0.2599
H231 0.3414 0.4696 0.7599
H232 0.1586 0.9696 0.2401
H233 0.2598 0.3476 0.2921
H234 0.2402 0.8476 0.7079
H235 0.7598 0.6524 0.2079
H236 0.7402 0.1524 0.7921
H237 0.7402 0.6524 0.7079
H238 0.7598 0.1524 0.2921
H239 0.2402 0.3476 0.7921
H240 0.2598 0.8476 0.2079
H241 0.2162 0.3368 0.1949
H242 0.2838 0.8368 0.8051
H243 0.7162 0.6632 0.3051
H244 0.7838 0.1632 0.6949
H245 0.7838 0.6632 0.8051
H246 0.7162 0.1632 0.1949
H247 0.2838 0.3368 0.6949
H248 0.2162 0.8368 0.3051
H249 0.3277 0.3715 0.2101
H250 0.1723 0.8715 0.7899
H251 0.8277 0.6285 0.2899
H252 0.6723 0.1285 0.7101
H253 0.6723 0.6285 0.7899
H254 0.8277 0.1285 0.2101
H255 0.1723 0.3715 0.7101
H256 0.3277 0.8715 0.2899
Pt1 0.0689 0.4882 0.9224
Pt2 0.4311 0.9882 0.0776
Pt3 0.5689 0.5118 0.5776
Pt4 0.9311 0.0118 0.4224
Pt5 0.9311 0.5118 0.0776
Pt6 0.5689 0.0118 0.9224
Pt7 0.4311 0.4882 0.4224
Pt8 0.0689 0.9882 0.5776
C1 0.0685 0.1802 0.0532
C2 0.4315 0.6802 0.9468
C3 0.5685 0.8198 0.4468
C4 0.9315 0.3198 0.5532
C5 0.9315 0.8198 0.9468
C6 0.5685 0.3198 0.0532
C7 0.4315 0.1802 0.5532
C8 0.0685 0.6802 0.4468
C9 0.0630 0.1595 0.1403
C10 0.4370 0.6595 0.8597
C11 0.5630 0.8405 0.3597
C12 0.9370 0.3405 0.6403
C13 0.9370 0.8405 0.8597
C14 0.5630 0.3405 0.1403
C15 0.4370 0.1595 0.6403
C16 0.0630 0.6595 0.3597
C17 0.9181 0.1783 0.0023
C18 0.5819 0.6783 0.9977
C19 0.4181 0.8217 0.4977
C20 0.0819 0.3217 0.5023
C21 0.0819 0.8217 0.9977
C22 0.4181 0.3217 0.0023
C23 0.5819 0.1783 0.5023
C24 0.9181 0.6783 0.4977
C25 0.9346 0.1193 0.9325
C26 0.5654 0.6193 0.0675
C27 0.4346 0.8807 0.5675
C28 0.0654 0.3807 0.4325
C29 0.0654 0.8807 0.0675
C30 0.4346 0.3807 0.9325
C31 0.5654 0.1193 0.4325
C32 0.9346 0.6193 0.5675
C33 0.3059 0.5525 0.1430
C34 0.1941 0.0525 0.8570
C35 0.8059 0.4475 0.3570
C36 0.6941 0.9475 0.6430
C37 0.6941 0.4475 0.8570
C38 0.8059 0.9475 0.1430
C39 0.1941 0.5525 0.6430
C40 0.3059 0.0525 0.3570
C41 0.3040 0.6446 0.1717
C42 0.1960 0.1446 0.8283
C43 0.8040 0.3554 0.3283
C44 0.6960 0.8554 0.6717
C45 0.6960 0.3554 0.8283
C46 0.8040 0.8554 0.1717
C47 0.1960 0.6446 0.6717
C48 0.3040 0.1446 0.3283
C49 0.2266 0.4672 0.2370
C50 0.2734 0.9672 0.7630
C51 0.7266 0.5328 0.2630
C52 0.7734 0.0328 0.7370
C53 0.7734 0.5328 0.7630
C54 0.7266 0.0328 0.2370
C55 0.2734 0.4672 0.7370
C56 0.2266 0.9672 0.2630
C57 0.2595 0.3755 0.2328
C58 0.2405 0.8755 0.7672
C59 0.7595 0.6245 0.2672
C60 0.7405 0.1245 0.7328
C61 0.7405 0.6245 0.7672
C62 0.7595 0.1245 0.2328
C63 0.2405 0.3755 0.7328
C64 0.2595 0.8755 0.2672
C65 0.9933 0.3868 0.8709
C66 0.5067 0.8868 0.1291
C67 0.4933 0.6132 0.6291
C68 0.0067 0.1132 0.3709
C69 0.0067 0.6132 0.1291
C70 0.4933 0.1132 0.8709
C71 0.5067 0.3868 0.3709
C72 0.9933 0.8868 0.6291
C73 0.0040 0.5761 0.8458
C74 0.4960 0.0761 0.1542
C75 0.5040 0.4239 0.6542
C76 0.9960 0.9239 0.3458
C77 0.9960 0.4239 0.1542
C78 0.5040 0.9239 0.8458
C79 0.4960 0.5761 0.3458
C80 0.0040 0.0761 0.6542
C81 0.1592 0.5864 0.9571
C82 0.3408 0.0864 0.0429
C83 0.6592 0.4136 0.5429
C84 0.8408 0.9136 0.4571
C85 0.8408 0.4136 0.0429
C86 0.6592 0.9136 0.9571
C87 0.3408 0.5864 0.4571
C88 0.1592 0.0864 0.5429
C89 0.1499 0.3953 0.9807
C90 0.3501 0.8953 0.0193
C91 0.6499 0.6047 0.5193
C92 0.8501 0.1047 0.4807
C93 0.8501 0.6047 0.0193
C94 0.6499 0.1047 0.9807
C95 0.3501 0.3953 0.4807
C96 0.1499 0.8953 0.5193
O1 0.9942 0.2296 0.0241
O2 0.5058 0.7296 0.9759
O3 0.4942 0.7704 0.4759
O4 0.0058 0.2704 0.5241
O5 0.0058 0.7704 0.9759
O6 0.4942 0.2704 0.0241
O7 0.5058 0.2296 0.5241
O8 0.9942 0.7296 0.4759
O9 0.2244 0.5076 0.1603
O10 0.2756 0.0076 0.8397
O11 0.7244 0.4924 0.3397
O12 0.7756 0.9924 0.6603
O13 0.7756 0.4924 0.8397
O14 0.7244 0.9924 0.1603
O15 0.2756 0.5076 0.6603
O16 0.2244 0.0076 0.3397

A plane-wave DFT calculation with PBE was carried out for crystalline Rb2LiNb2Te2O12 at its relaxed geometry.

- Energy relative to the elements: -2199 meV per atom
- Calculated density: 4591 kg/m3
- Final energy: -123.280 eV per formula unit
- Distance to the lowest polymorph of the same formula: 0.030 eV/atom

Cell lengths 7.4099, 7.4103, 7.5061 Å; angles 90.00, 60.43, 120.00 degrees
Fractional coordinates of all 19 atoms:
Rb1 0.6687 0.3344 0.4997
Rb2 0.3313 0.6656 0.5003
Li1 0.0000 0.5000 0.0000
Nb1 0.5000 0.5000 0.0000
Nb2 0.5000 0.0000 0.0000
Te1 0.0000 0.0000 0.5000
Te2 0.0000 0.0000 0.0000
O1 0.8614 0.9307 0.3240
O2 0.6379 0.3189 0.9283
O3 0.2538 0.9280 0.9208
O4 0.2457 0.3090 0.3164
O5 0.2538 0.3258 0.9208
O6 0.2457 0.9367 0.3164
O7 0.1386 0.0693 0.6760
O8 0.3621 0.6811 0.0717
O9 0.7462 0.0720 0.0792
O10 0.7543 0.6910 0.6836
O11 0.7462 0.6742 0.0792
O12 0.7543 0.0633 0.6836

A plane-wave DFT calculation with PBE was carried out for crystalline LiScIn2 at its relaxed geometry.

- Energy relative to the elements: -346 meV per atom
- Calculated density: 5446 kg/m3
- Final energy: -15.128 eV per formula unit

Cell lengths 4.9515, 4.9515, 4.9515 Å; angles 60.00, 60.00, 60.00 degrees
Fractional coordinates of all 4 atoms:
Li1 0.5000 0.5000 0.5000
Sc1 0.0000 0.0000 0.0000
In1 0.2500 0.2500 0.2500
In2 0.7500 0.7500 0.7500

A plane-wave DFT calculation with PBE was carried out for crystalline Pb12Br7ClO8 at its relaxed geometry.

- Energy relative to the elements: -1321 meV per atom
- Calculated density: 7074 kg/m3
- Final energy: -128.927 eV per formula unit

Cell lengths 5.9787, 10.1036, 12.4709 Å; angles 89.54, 90.00, 90.00 degrees
Fractional coordinates of all 28 atoms:
Pb1 0.0000 0.2842 0.0554
Pb2 0.0000 0.2140 0.5653
Pb3 0.5000 0.7153 0.9399
Pb4 0.5000 0.7852 0.4399
Pb5 0.0000 0.9242 0.0777
Pb6 0.0000 0.5759 0.5780
Pb7 0.5000 0.0768 0.9211
Pb8 0.5000 0.4240 0.4228
Pb9 0.0000 0.8709 0.7892
Pb10 0.0000 0.6332 0.2893
Pb11 0.5000 0.1344 0.2098
Pb12 0.5000 0.3658 0.7119
Br1 0.0000 0.5794 0.8688
Br2 0.0000 0.9213 0.3696
Br3 0.5000 0.4212 0.1301
Br4 0.5000 0.0786 0.6320
Br5 0.0000 0.3047 0.3103
Br6 0.5000 0.8049 0.1888
Br7 0.5000 0.6951 0.6890
Cl1 0.0000 0.1899 0.8103
O1 0.2542 0.8904 0.9217
O2 0.7455 0.6104 0.4220
O3 0.7541 0.1110 0.0768
O4 0.2457 0.3887 0.5798
O5 0.2459 0.1110 0.0768
O6 0.7543 0.3887 0.5798
O7 0.7458 0.8904 0.9217
O8 0.2545 0.6104 0.4220

Q: Which of these has the lowest energy relative to the elements?
A: Rb2LiNb2Te2O12